[1]
VASP calculation (GGA-PBE) on crystalline NdOs2 at its relaxed geometry.

POSCAR file:
```
NdOs2
1.0
-3.8077 -0.6526 3.7406
-0.7110 -2.0048 -4.9388
3.9033 -7.8143 2.6101
Nd Os
4 8
Direct
0.6667 0.3333 0.5642
0.6667 0.3333 0.9358
0.3333 0.6667 0.0642
0.3333 0.6667 0.4358
0.0000 0.0000 0.5000
0.6591 0.8295 0.7500
0.1705 0.3409 0.7500
0.1705 0.8295 0.7500
0.8295 0.6591 0.2500
0.8295 0.1705 0.2500
0.0000 0.0000 0.0000
0.3409 0.1705 0.2500
```

* formation enthalpy at 0 K: -0.102 eV per atom
* space-group type: P6_3/mmc (194)

***

[2]
VASP calculation (GGA-PBE) on crystalline Sr3P4O13 at its relaxed geometry.

POSCAR file:
```
Sr3P4O13
1.0
7.3617 0.0000 0.0000
-0.5970 7.8276 0.0000
-2.3477 -2.4261 9.7563
O Sr P
26 6 8
Direct
0.5259 0.1809 0.5714
0.3664 0.7169 0.1075
0.2092 0.5305 0.2292
0.5995 0.1283 0.3328
0.2637 0.3971 0.0009
0.9326 0.4874 0.3172
0.8818 0.8798 0.1781
0.7908 0.4695 0.7708
0.7445 0.4012 0.5147
0.3364 0.0992 0.0462
0.4741 0.8191 0.4286
0.7363 0.6029 0.9991
0.4005 0.8717 0.6672
0.6336 0.2831 0.8925
0.4544 0.5097 0.7884
0.1182 0.1202 0.8219
0.6636 0.9008 0.9538
0.0674 0.5126 0.6828
0.2555 0.5988 0.4853
0.8172 0.7166 0.6366
0.9913 0.8083 0.9564
0.5456 0.4903 0.2116
0.0087 0.1917 0.0436
0.8450 0.1030 0.5438
0.1550 0.8970 0.4562
0.1828 0.2834 0.3634
0.7506 0.0160 0.7568
0.2933 0.7791 0.8639
0.2142 0.2295 0.6259
0.7858 0.7705 0.3741
0.7067 0.2209 0.1361
0.2494 0.9840 0.2432
0.6713 0.1898 0.4884
0.3287 0.8102 0.5116
0.1739 0.1895 0.9784
0.3616 0.5390 0.1412
0.1380 0.4633 0.3477
0.8261 0.8105 0.0216
0.8620 0.5367 0.6523
0.6384 0.4610 0.8588
```

* formation enthalpy at 0 K: -3.122 eV per atom
* space-group type: P-1 (2)

***

[3]
VASP calculation (GGA-PBE) on crystalline Al4As3O23 at its relaxed geometry.

POSCAR file:
```
Al4As3O23
1.0
-2.3533 -4.2782 5.9201
0.6414 -6.3167 -4.3099
7.2759 -0.8269 2.2947
O Al As
23 4 3
Direct
0.8663 0.1337 0.6181
0.5000 0.5000 0.0000
0.1115 0.8885 0.1115
0.8663 0.8663 0.3819
0.5000 0.0000 0.5000
0.6945 0.3055 0.3055
0.1337 0.8663 0.6181
0.1115 0.1115 0.8885
0.3055 0.6945 0.3055
0.1337 0.6181 0.8663
0.3055 0.3055 0.6945
0.8663 0.3819 0.8663
0.8885 0.8885 0.8885
0.6181 0.1337 0.8663
0.0000 0.5000 0.5000
0.6945 0.6945 0.6945
0.8885 0.1115 0.1115
0.6181 0.8663 0.1337
0.3819 0.1337 0.1337
0.1337 0.1337 0.3819
0.8663 0.6181 0.1337
0.3819 0.8663 0.8663
0.1337 0.3819 0.1337
0.8591 0.1409 0.8591
0.1409 0.1409 0.1409
0.8591 0.8591 0.1409
0.1409 0.8591 0.8591
0.0000 0.0000 0.5000
0.5000 0.0000 0.0000
0.0000 0.5000 0.0000
```

* formation enthalpy at 0 K: -1.078 eV per atom
* space-group type: P-43m (215)

***

[4]
VASP calculation (GGA-PBE) on crystalline Sr2La14Mg4Ga12O45 at its relaxed geometry.

POSCAR file:
```
Sr2La14Mg4Ga12O45
1.0
-3.1481 4.4993 -0.8537
-3.0085 2.0904 4.2133
12.1604 39.0786 18.3426
O Ga Mg La Sr
45 12 4 14 2
Direct
0.2632 0.6152 0.0932
0.3385 0.8628 0.1360
0.6993 0.2157 0.1631
0.1908 0.8388 0.3364
0.7608 0.1857 0.5410
0.7593 0.2755 0.2225
0.7790 0.6785 0.4185
0.8193 0.6760 0.6587
0.8245 0.6807 0.7793
0.8995 0.2716 0.0872
0.7528 0.1809 0.6655
0.2700 0.7666 0.0227
0.2930 0.7747 0.4010
0.5877 0.2150 0.3614
0.6717 0.2329 0.6052
0.3101 0.7376 0.8963
0.2159 0.7784 0.4678
0.1876 0.3263 0.9677
0.1804 0.3122 0.5943
0.1884 0.3212 0.8441
0.3273 0.7500 0.5244
0.7655 0.2293 0.4120
0.3201 0.7498 0.6485
0.8683 0.6251 0.2988
0.6739 0.2045 0.4815
0.8169 0.6967 0.8998
0.7112 0.2959 0.9702
0.1811 0.2982 0.4690
0.2532 0.8192 0.7103
0.8139 0.6702 0.5391
0.2657 0.8279 0.8326
0.8002 0.7228 0.0205
0.2694 0.8373 0.9550
0.1765 0.6733 0.2214
0.1810 0.3192 0.7193
0.3450 0.8970 0.2584
0.6928 0.2678 0.8492
0.2362 0.8107 0.5877
0.6821 0.2486 0.7273
0.8209 0.7129 0.1565
0.3183 0.7491 0.7722
0.7489 0.1822 0.9126
0.6883 0.1796 0.0428
0.7481 0.1788 0.7893
0.6519 0.2187 0.2938
0.9978 0.9958 0.6263
0.0059 0.0137 0.9939
0.5035 0.5087 0.9341
0.4867 0.4955 0.4403
0.0043 0.0065 0.8719
0.5062 0.5042 0.8104
0.5280 0.5280 0.0520
0.9922 0.9840 0.5042
0.9853 0.0013 0.1286
0.5004 0.4999 0.6877
0.0004 0.0001 0.7494
0.4982 0.4952 0.5648
0.5212 0.5208 0.3154
0.5367 0.5135 0.1849
0.9690 0.9609 0.2569
0.9485 0.9815 0.3809
0.2774 0.2524 0.2787
0.2526 0.2670 0.9018
0.2531 0.2526 0.7794
0.7042 0.7924 0.3494
0.7478 0.7523 0.4705
0.7498 0.7502 0.8419
0.7505 0.7500 0.7182
0.2086 0.2319 0.4152
0.7557 0.7444 0.2158
0.2469 0.2461 0.6572
0.2458 0.2421 0.5338
0.7937 0.7368 0.0889
0.7516 0.7486 0.5951
0.7504 0.7575 0.9636
0.2592 0.2623 0.0241
0.2561 0.2560 0.1545
```

* excess energy over the best structure of this formula in the dataset: 0.00 kJ/mol of atoms
* formation enthalpy at 0 K: -3.097 eV per atom
* space-group type: P1 (1)

***

[5]
VASP calculation (GGA-PBE) on crystalline MgZr at its relaxed geometry.

POSCAR file:
```
MgZr
1.0
3.5266 0.0000 0.0000
0.0000 3.5266 0.0000
0.0000 0.0000 3.5266
Zr Mg
1 1
Direct
0.5000 0.5000 0.5000
0.0000 0.0000 0.0000
```

* formation enthalpy at 0 K: 0.088 eV per atom
* space-group type: Pm-3m (221)

***

[6]
VASP calculation (GGA-PBE) on crystalline Cs2TiSi6O15 at its relaxed geometry.

POSCAR file:
```
Cs2TiSi6O15
1.0
-1.2428 -0.8661 -7.6325
5.6594 1.0297 -5.2403
5.1095 -14.1963 -3.4921
O Cs Ti Si
30 4 2 12
Direct
0.0308 0.8670 0.6215
0.1154 0.6455 0.1723
0.1330 0.9692 0.8785
0.8131 0.6597 0.9080
0.2533 0.7467 0.7500
0.7467 0.2533 0.2500
0.2494 0.1444 0.4426
0.2066 0.2864 0.2694
0.8556 0.7506 0.0574
0.3403 0.1869 0.5920
0.8000 0.4170 0.0750
0.1869 0.3403 0.0920
0.6555 0.5107 0.3590
0.7934 0.7136 0.7306
0.2000 0.5830 0.9250
0.8846 0.3545 0.8277
0.2864 0.2066 0.7694
0.3445 0.4893 0.6410
0.5107 0.6555 0.8590
0.7506 0.8556 0.5574
0.5830 0.2000 0.4250
0.1444 0.2494 0.9426
0.8670 0.0308 0.1215
0.6597 0.8131 0.4080
0.4170 0.8000 0.5750
0.7136 0.7934 0.2306
0.3545 0.8846 0.3277
0.4893 0.3445 0.1410
0.9692 0.1330 0.3785
0.6455 0.1154 0.6723
0.6243 0.1418 0.9100
0.3757 0.8582 0.0900
0.1418 0.6243 0.4100
0.8582 0.3757 0.5900
0.0000 0.5000 0.0000
0.5000 0.0000 0.5000
0.6036 0.7490 0.3335
0.1159 0.1953 0.8561
0.7290 0.2656 0.1460
0.7490 0.6036 0.8335
0.7344 0.2710 0.3540
0.2510 0.3964 0.1665
0.2710 0.7344 0.8540
0.2656 0.7290 0.6460
0.3964 0.2510 0.6665
0.1953 0.1159 0.3561
0.8047 0.8841 0.6439
0.8841 0.8047 0.1439
```

* excess energy over the best structure of this formula in the dataset: 0.48 kJ/mol of atoms
* formation enthalpy at 0 K: -3.192 eV per atom
* space-group type: C2/c (15)